# 1
Computed, not measured: crystalline CuI at its relaxed geometry at the PBE-GGA level of DFT.

Cell: 4.1132 4.1132 6.5562 Å, 90.00 90.00 90.00°
Last column: nearest neighbours and their distance in Å.
Positions (direct):
Cu: 0.2500 0.7500 0.0000  4 I 2.67, 4 Cu 2.91
Cu: 0.7500 0.2500 0.0000  4 I 2.67, 4 Cu 2.91
I: 0.2500 0.2500 0.2591  4 Cu 2.67
I: 0.7500 0.7500 0.7409  4 Cu 2.67

Values from the calculation:
- V (A^3/atom) = 27.7
- ΔE_f (meV per atom) = -330

***

# 2
Computed, not measured: crystalline CuI at its relaxed geometry at the PBE-GGA level of DFT.

Cell: 4.2860 8.5775 7.4248 Å, 90.00 125.22 90.00°
Last column: nearest neighbours and their distance in Å.
Positions (direct):
Cu: 0.0000 0.1230 0.0000  4 I 2.61-2.67
Cu: 0.0000 0.8770 0.5000  4 I 2.61-2.67
Cu: 0.0366 0.3703 0.4843  4 I 2.59-2.66
Cu: 0.0366 0.6297 0.9843  4 I 2.59-2.66
I: 0.2540 0.1263 0.7458  4 Cu 2.61-2.67
I: 0.2540 0.8737 0.2458  4 Cu 2.61-2.67
I: 0.2844 0.3766 0.2376  4 Cu 2.59-2.66
I: 0.2844 0.6234 0.7376  4 Cu 2.59-2.66

Values from the calculation:
- V (A^3/atom) = 27.9
- maximum piezoelectric response (C/m²) = 0.120
- ΔE_f (meV per atom) = -335

***

# 3
Computed, not measured: crystalline CuI at its relaxed geometry at the PBE-GGA level of DFT.

Cell: 4.1555 4.1555 7.4366 Å, 90.00 90.00 120.00°
Last column: nearest neighbours and their distance in Å.
Positions (direct):
Cu: 0.3333 0.6667 0.4059  4 I 2.60-2.68, 3 Cu 2.78
Cu: 0.6667 0.3333 0.5941  4 I 2.60-2.68, 3 Cu 2.78
I: 0.3333 0.6667 0.7557  4 Cu 2.60-2.68
I: 0.6667 0.3333 0.2443  4 Cu 2.60-2.68

Values from the calculation:
- V (A^3/atom) = 27.8
- ΔE_f (meV per atom) = -342